The following is a PBE calculation of a relaxed AlSbO3 crystal, from Materials Project.

Its space group is P6_3/mmc.

The structure in POSCAR format:
```
AlSbO3
1.0
3.5164 0.0000 0.0000
-1.7582 3.0453 0.0000
0.0000 0.0000 12.7031
Al Sb O
2 2 6
Direct
0.0000 0.0000 0.0000
0.0000 0.0000 0.5000
0.3333 0.6667 0.2500
0.6667 0.3333 0.7500
0.0000 0.0000 0.2500
0.0000 0.0000 0.7500
0.3333 0.6667 0.0654
0.3333 0.6667 0.4346
0.6667 0.3333 0.5654
0.6667 0.3333 0.9346
```

The following is a PBE calculation of a relaxed PrNiBi crystal, from Materials Project.

Its space group is F-43m.

The structure in POSCAR format:
```
PrNiBi
1.0
6.6518 0.0000 0.0000
0.0000 6.6518 0.0000
0.0000 0.0000 6.6518
Pr Ni Bi
4 4 4
Direct
0.0000 0.0000 0.0000
0.0000 0.5000 0.5000
0.5000 0.0000 0.5000
0.5000 0.5000 0.0000
0.2500 0.2500 0.2500
0.2500 0.7500 0.7500
0.7500 0.2500 0.7500
0.7500 0.7500 0.2500
0.0000 0.0000 0.5000
0.0000 0.5000 0.0000
0.5000 0.0000 0.0000
0.5000 0.5000 0.5000
```

The following is a PBE calculation of a relaxed RbMg crystal, from Materials Project.

Its space group is Amm2.

The structure in POSCAR format:
```
RbMg
1.0
4.9264 0.0000 0.0000
0.0000 4.2012 0.0000
0.0000 0.0000 31.0874
Rb Mg
6 6
Direct
0.0000 0.0000 0.0000
0.0000 0.0000 0.2394
0.0000 0.5000 0.5000
0.0000 0.5000 0.7394
0.5000 0.0000 0.8683
0.5000 0.5000 0.3683
0.0000 0.0000 0.6272
0.0000 0.5000 0.1272
0.5000 0.0000 0.1367
0.5000 0.0000 0.5647
0.5000 0.5000 0.0647
0.5000 0.5000 0.6367
```

The following energy relative to the elements values (in eV/atom) correspond, in order, to the records above: -1.7871 -0.6426 0.1683.